This record from the Materials Project describes a relaxed structure of CsAuCl4. The functional is meta-GGA r2SCAN.

Cell lengths 6.255, 7.237, 9.893 Å; angles 103.36, 90.00, 115.61 degrees
Fractional coordinates of all 12 atoms:
Cs 0.296 0.000 0.250
Cs 0.704 0.000 0.750
Au 0.000 0.500 0.500
Au 0.500 0.500 0.000
Cl 0.135 0.861 0.570
Cl 0.274 0.139 0.930
Cl 0.865 0.139 0.430
Cl 0.726 0.861 0.070
Cl 0.310 0.547 0.364
Cl 0.763 0.453 0.136
Cl 0.690 0.453 0.636
Cl 0.237 0.547 0.864

Properties
Calculated volume = 32.53 A^3/atom
Total DFT energy (no corrections) = -213.53 eV per cell
ΔE_f = -1077 meV per atom
Symmetry = C2/c (15)